[1]
DFT (PBE) results for an optimized crystal structure of Mg2InW3S8.

Unit cell a=6.987 b=7.034 c=7.683 alpha=90.03 beta=116.98 gamma=119.77
Fractional positions:
Mg1 0.000 0.000 0.000
Mg2 0.485 0.742 0.227
In1 0.786 0.391 0.181
W1 0.280 0.928 0.632
W2 0.287 0.347 0.634
W3 0.694 0.347 0.634
S1 0.215 0.604 0.826
S2 0.247 0.120 0.373
S3 0.282 0.138 0.876
S4 0.285 0.638 0.437
S5 0.732 0.138 0.874
S6 0.738 0.595 0.880
S7 0.791 0.639 0.437
S8 0.794 0.148 0.438

Calculated values
- magnetic moment (μB/atom) = 0.072
- crystal system = triclinic
- E (MP2020) (eV/atom) = -6.5515
- energy of formation (meV/atom) = -986

***

[2]
DFT (PBE) results for an optimized crystal structure of MgAs.

Unit cell a=4.124 b=4.124 c=2.963 alpha=90.00 beta=90.00 gamma=120.00
Fractional positions:
Mg1 0.000 0.000 0.000
As1 0.667 0.333 0.500

Calculated values
- magnetic moment (μB/atom) = 0.001
- crystal system = hexagonal
- energy of formation (meV/atom) = -376

***

[3]
DFT (PBE) results for an optimized crystal structure of In5Bi3S12.

Unit cell a=16.873 b=16.873 c=14.566 alpha=90.57 beta=90.57 gamma=13.35
Fractional positions:
In1 0.000 0.000 0.000
In2 0.000 0.000 0.500
In3 0.072 0.072 0.222
In4 0.217 0.217 0.918
In5 0.327 0.327 0.280
In6 0.402 0.402 0.004
In7 0.598 0.598 0.996
In8 0.673 0.673 0.720
In9 0.783 0.783 0.082
In10 0.928 0.928 0.778
Bi1 0.135 0.135 0.485
Bi2 0.320 0.320 0.767
Bi3 0.447 0.447 0.290
Bi4 0.553 0.553 0.710
Bi5 0.680 0.680 0.233
Bi6 0.865 0.865 0.515
S1 0.006 0.006 0.318
S2 0.062 0.062 0.901
S3 0.114 0.114 0.681
S4 0.127 0.127 0.104
S5 0.195 0.195 0.352
S6 0.222 0.222 0.739
S7 0.228 0.228 0.091
S8 0.317 0.317 0.458
S9 0.338 0.338 0.102
S10 0.395 0.395 0.687
S11 0.447 0.447 0.473
S12 0.465 0.465 0.894
S13 0.535 0.535 0.106
S14 0.553 0.553 0.527
S15 0.605 0.605 0.313
S16 0.662 0.662 0.898
S17 0.683 0.683 0.542
S18 0.772 0.772 0.909
S19 0.778 0.778 0.261
S20 0.805 0.805 0.648
S21 0.873 0.873 0.896
S22 0.886 0.886 0.319
S23 0.938 0.938 0.099
S24 0.994 0.994 0.682

Calculated values
- magnetic moment (μB/atom) = 0.000
- crystal system = monoclinic
- E (MP2020) (eV/atom) = -4.4356
- energy of formation (meV/atom) = -682

***

[4]
DFT (PBE) results for an optimized crystal structure of CrB6H16.

Unit cell a=4.475 b=5.884 c=8.989 alpha=105.93 beta=92.45 gamma=111.62
Fractional positions:
Cr1 0.000 0.000 0.000
B1 0.453 0.996 0.813
B2 0.479 0.203 0.632
B3 0.492 0.693 0.195
B4 0.508 0.307 0.805
B5 0.521 0.797 0.368
B6 0.547 0.004 0.187
H1 0.174 0.815 0.899
H2 0.218 0.159 0.602
H3 0.242 0.567 0.169
H4 0.259 0.333 0.883
H5 0.268 0.715 0.476
H6 0.323 0.058 0.158
H7 0.441 0.944 0.686
H8 0.469 0.563 0.329
H9 0.531 0.437 0.671
H10 0.559 0.056 0.314
H11 0.677 0.942 0.842
H12 0.732 0.285 0.524
H13 0.741 0.667 0.117
H14 0.758 0.433 0.831
H15 0.782 0.841 0.398
H16 0.826 0.185 0.101

Calculated values
- magnetic moment (μB/atom) = 0.028
- crystal system = triclinic
- E (MP2020) (eV/atom) = -3.8910
- energy of formation (meV/atom) = 631

***

Computed density (g/cm3) in order:
5.77 3.78 5.50 1.06